Below is HfC after structural relaxation, with properties calculated at the GGA-PBE level.

It has space group Fm-3m (No. 225), with a = 4.651 Å, b = 4.651 Å, c = 4.651 Å, α = 90.00°, β = 90.00° and γ = 90.00°. The asymmetric unit holds Hf at (0.000, 0.000, 0.000) and C at (0.000, 0.000, 0.500).

Its formation enthalpy at 0 K is -0.939 eV per atom. The energy above the lowest structure with this stoichiometry is 0.000 eV/atom. For the uncorrected energy, the calculation gives -10.532 eV/atom.